Record 1
Here is a relaxed structure of Zn3S2O9 from the Materials Project database. Energies are from r²SCAN.

```
Zn3S2O9
1.0
6.650 0.000 0.000
0.000 7.389 0.031
0.000 3.668 7.028
Zn S O
6 4 18
Cartesian
3.325 0.000 0.000
0.000 0.000 0.000
1.663 5.497 5.235
4.988 5.560 1.825
1.663 2.043 1.574
4.988 9.014 5.486
1.663 5.157 2.026
4.988 5.900 5.033
1.663 8.843 4.948
4.988 2.214 2.112
1.663 4.605 6.978
4.988 6.452 0.081
6.179 5.077 5.338
2.854 5.980 1.721
0.471 5.980 1.721
3.796 5.077 5.338
6.183 1.578 1.506
2.858 9.479 5.553
0.467 9.479 5.553
3.792 1.578 1.506
4.988 7.103 5.877
1.663 3.954 1.183
4.988 6.317 3.629
1.663 4.740 3.430
4.988 2.030 3.552
1.663 9.027 3.507
1.663 7.418 5.260
4.988 3.639 1.800
```

## Properties
Formation energy from the elements   -1.59 eV per atom
SG   P2_1/m
Magnetization   0.0 μB/cell

---

Record 2
Here is a relaxed structure of VSbSe4O12 from the Materials Project database. Energies are from r²SCAN.

```
VSbSe4O12
1.0
-6.617 -1.692 4.305
4.369 -4.668 4.881
1.535 6.308 4.839
V Sb Se O
2 2 8 24
Cartesian
2.185 -2.334 2.441
-0.356 -0.026 7.012
0.768 3.154 2.419
-3.308 -0.846 2.152
0.954 -2.569 5.453
-3.492 -0.907 6.841
0.233 -0.779 10.114
0.953 4.171 5.595
-1.666 2.518 8.572
2.780 0.856 7.183
-0.945 0.728 3.911
-1.665 -4.222 8.429
0.761 -2.695 3.779
-2.139 -0.485 7.760
0.062 -2.454 10.601
-0.107 5.531 5.908
1.880 -0.637 10.688
-0.395 -1.625 5.829
-3.960 -2.316 7.647
1.065 4.479 3.876
-4.662 0.183 7.634
0.557 -1.049 8.501
0.233 -4.142 5.889
2.381 4.888 6.068
-1.473 2.644 10.246
1.427 0.433 6.264
-0.774 2.402 3.424
-0.605 -5.582 8.116
-2.592 0.586 3.337
-0.317 1.573 8.196
3.248 2.265 6.378
-1.777 -4.530 10.148
3.950 -0.234 6.390
-1.269 0.997 5.523
-0.945 4.091 8.135
-3.093 -4.940 7.957
```

## Properties
Formation energy from the elements   -1.21 eV per atom
SG   P2_1/c
Magnetization   4.0 μB/cell

---

Record 3
Here is a relaxed structure of Sm8Sb3O8 from the Materials Project database. Energies are from r²SCAN.

```
Sm8Sb3O8
1.0
-3.921 -5.695 1.506
-0.740 -6.002 3.673
-8.183 3.487 12.503
Sm Sb O
8 3 8
Cartesian
-10.793 -5.229 15.128
-2.021 -2.983 2.574
-7.673 -5.540 10.473
-5.170 -2.669 7.209
-9.429 -7.994 12.712
-3.405 -0.217 4.976
-8.902 -2.436 12.740
-3.920 -5.776 4.956
-6.801 0.529 10.061
-6.037 -8.739 7.624
-3.900 -5.697 1.519
-7.396 -3.285 10.397
-5.438 -4.925 7.291
-10.640 -7.532 14.569
-2.180 -0.680 3.128
-4.749 -0.221 6.938
-8.094 -7.989 10.744
-9.011 -0.216 13.224
-3.803 -7.997 4.478
```

## Properties
Formation energy from the elements   -3.03 eV per atom
SG   C2
Magnetization   0.2 μB/cell

---

Record 4
Here is a relaxed structure of TaSbO4 from the Materials Project database. Energies are from r²SCAN.

```
TaSbO4
1.0
-1.725 1.736 4.326
-5.200 -0.426 -1.902
-0.628 -11.081 4.196
Ta Sb O
4 4 16
Cartesian
-3.829 -2.602 0.945
-5.461 -8.250 2.560
-3.723 -7.170 5.675
-2.091 -1.521 4.059
-1.640 0.236 0.378
-2.136 -5.122 2.931
-5.417 -4.650 3.688
-5.284 1.074 2.045
-3.214 -1.154 -0.349
-5.881 -6.258 2.551
-3.565 -5.759 4.214
-2.055 0.509 4.217
-2.790 -1.491 2.297
-1.235 -7.788 2.676
-5.533 -6.292 5.985
-5.417 -1.677 1.412
-2.019 -3.480 0.635
-2.136 -8.095 5.207
-4.762 -8.281 4.323
-6.318 -1.984 3.943
-3.987 -4.012 2.406
-5.497 -10.281 2.402
-4.339 -8.617 6.968
-1.671 -3.514 4.068
```

## Properties
Formation energy from the elements   -2.44 eV per atom
SG   Pnna
Magnetization   0.0 μB/cell

---

Record 5
Here is a relaxed structure of Tb2SbO2 from the Materials Project database. Energies are from r²SCAN.

```
Tb2SbO2
1.0
-1.925 1.925 6.664
1.925 -1.925 6.664
1.925 1.925 -6.664
Tb Sb O
2 1 2
Cartesian
0.000 0.000 4.457
0.000 0.000 8.871
0.000 0.000 0.000
0.000 1.925 3.332
1.925 0.000 3.332
```

## Properties
Formation energy from the elements   -3.02 eV per atom
SG   I4/mmm
Magnetization   0.0 μB/cell

---

Record 6
Here is a relaxed structure of TbSbO4 from the Materials Project database. Energies are from r²SCAN.

```
TbSbO4
1.0
5.360 -0.259 0.060
0.107 7.496 1.223
-0.126 -0.021 7.496
Tb Sb O
4 4 16
Cartesian
1.360 0.924 4.757
3.981 6.291 4.023
1.151 1.120 0.999
4.190 6.096 7.780
1.321 4.908 2.294
4.019 2.307 6.485
3.879 2.328 2.755
1.461 4.887 6.025
0.429 3.231 5.731
4.912 3.985 3.049
3.260 2.293 4.631
2.080 4.922 4.149
4.677 2.262 0.909
0.664 4.953 7.871
2.180 3.141 2.027
3.161 4.074 6.753
0.279 6.615 2.385
5.061 0.600 6.394
2.696 0.714 2.602
2.645 6.501 6.177
2.445 1.238 6.824
2.895 5.978 1.956
5.272 1.005 3.117
0.068 6.210 5.663
```

## Properties
Formation energy from the elements   -2.68 eV per atom
SG   P-1
Magnetization   0.0 μB/cell

---

Record 7
Here is a relaxed structure of TbSbO4 from the Materials Project database. Energies are from r²SCAN.

```
TbSbO4
1.0
5.359 0.000 0.000
0.000 7.502 -0.008
0.000 1.193 7.490
Tb Sb O
4 4 16
Cartesian
3.887 3.362 2.655
1.471 5.333 4.827
4.151 7.113 2.651
1.208 1.582 4.831
4.121 7.045 6.261
1.238 1.650 1.222
1.442 5.401 1.218
3.917 3.294 6.265
4.861 2.374 0.490
0.498 6.321 6.992
2.020 3.501 1.268
3.339 5.194 6.214
0.660 7.252 1.264
4.699 1.443 6.218
3.177 6.125 0.486
2.182 2.570 6.996
5.239 6.930 4.600
0.120 1.765 2.882
2.559 5.516 2.878
2.800 3.179 4.604
2.716 1.297 2.429
2.643 7.398 5.053
5.322 5.048 2.425
0.036 3.647 5.057
```

## Properties
Formation energy from the elements   -2.68 eV per atom
SG   P2_1/c
Magnetization   0.0 μB/cell

---

Record 8
Here is a relaxed structure of Tb3Sb5O12 from the Materials Project database. Energies are from r²SCAN.

```
Tb3Sb5O12
1.0
5.184 -7.705 1.030
-4.138 2.077 8.116
-6.518 -1.481 -6.530
Tb Sb O
6 10 24
Cartesian
-5.066 -1.109 3.080
-0.405 -6.000 -0.464
0.190 -5.111 3.198
-5.661 -1.998 -0.582
-3.331 -4.444 -2.354
-2.141 -2.665 4.969
-2.818 -3.661 1.347
-4.003 -5.218 -6.031
-3.340 -8.178 -1.564
-2.115 -6.346 5.979
0.752 -4.047 6.576
0.294 -1.581 2.569
-0.959 -6.606 -3.955
-4.512 -0.503 6.571
-7.663 0.429 1.141
2.191 -7.538 1.475
-1.229 -5.860 1.623
-6.471 -1.124 1.324
1.209 -7.113 3.124
-4.684 -4.023 -0.608
0.733 -7.826 0.189
-0.569 -4.263 5.137
-5.170 -4.686 -3.624
-7.038 -2.726 -2.204
-3.981 -2.972 3.715
-5.838 -0.931 5.184
0.645 -4.256 -1.417
-1.769 -6.058 -2.250
-3.644 -1.854 1.042
1.620 -5.448 1.060
-2.198 -7.804 0.047
-1.310 -3.095 2.550
-1.537 -6.817 4.111
-4.500 -2.192 -2.894
-7.119 -3.848 0.506
-4.532 -6.562 -1.461
-1.784 -3.805 -0.371
0.741 -6.943 -2.591
-6.644 -3.138 3.427
-3.256 -0.332 4.767
```

## Properties
Formation energy from the elements   -2.46 eV per atom
SG   I-43m
Magnetization   0.0 μB/cell

---

Record 9
Here is a relaxed structure of Tb9Sb5O5 from the Materials Project database. Energies are from r²SCAN.

```
Tb9Sb5O5
1.0
9.875 0.000 0.000
0.000 9.875 0.000
0.000 0.000 8.887
Tb Sb O
18 10 10
Cartesian
2.026 8.845 3.033
4.937 0.000 5.972
2.911 5.966 5.854
6.963 3.908 5.854
7.170 9.059 0.015
3.908 2.911 3.033
1.029 2.026 5.854
5.966 6.963 3.033
0.000 4.937 2.915
8.845 7.849 5.854
2.705 0.815 0.015
7.642 5.752 8.872
2.232 4.122 8.872
7.849 1.029 3.033
5.752 2.232 0.015
9.059 2.705 8.872
0.815 7.170 8.872
4.122 7.642 0.015
5.883 6.871 6.207
8.929 7.941 2.680
6.871 3.991 2.680
0.000 4.937 6.062
1.933 8.929 6.207
7.941 0.946 6.207
3.004 5.883 2.680
3.991 3.004 6.207
0.946 1.933 2.680
4.937 0.000 2.825
2.223 8.688 0.773
7.161 3.751 8.114
4.937 0.000 8.312
6.124 7.161 0.773
0.000 4.937 0.576
8.688 7.651 8.114
1.186 2.223 8.114
3.751 2.714 0.773
7.651 1.186 0.773
2.714 6.124 8.114
```

## Properties
Formation energy from the elements   -2.47 eV per atom
SG   P4/n
Magnetization   0.0 μB/cell

---

Record 10
Here is a relaxed structure of TlSbO3 from the Materials Project database. Energies are from r²SCAN.

```
TlSbO3
1.0
-5.892 -4.215 3.082
-2.003 -3.641 6.687
-5.376 0.380 5.739
Tl Sb O
2 2 6
Cartesian
-8.247 -4.646 9.637
-5.025 -2.830 5.872
-11.059 -6.230 12.923
-2.212 -1.246 2.585
-6.156 -5.108 5.949
-7.244 -1.823 6.603
-4.476 -3.139 8.337
-7.115 -2.368 9.559
-8.796 -4.337 7.171
-6.027 -5.653 8.906
```

## Properties
Formation energy from the elements   -1.44 eV per atom
SG   R-3
Magnetization   0.0 μB/cell

---

Record 11
Here is a relaxed structure of Tl5SbO5 from the Materials Project database. Energies are from r²SCAN.

```
Tl5SbO5
1.0
5.435 -5.950 0.000
5.435 5.950 0.000
0.000 0.000 13.751
Tl Sb O
20 4 20
Cartesian
5.435 -2.833 1.379
5.435 2.833 8.255
5.435 0.226 10.447
5.435 -0.226 3.571
3.656 0.263 0.058
7.213 -0.263 6.934
7.213 0.263 0.058
3.656 -0.263 6.934
1.745 -0.452 10.262
9.124 0.452 3.387
9.124 -0.452 10.262
1.745 0.452 3.387
7.218 -3.551 8.418
3.651 3.551 1.543
3.651 -3.551 8.418
7.218 3.551 1.543
7.198 -3.118 11.916
3.671 3.118 5.040
3.671 -3.118 11.916
7.198 3.118 5.040
5.435 3.043 12.308
5.435 -3.043 5.433
5.435 5.867 6.599
5.435 -5.867 13.475
5.435 5.196 4.730
5.435 -5.196 11.606
5.435 -5.307 8.448
5.435 5.307 1.572
5.435 -3.828 3.610
5.435 3.828 10.486
5.435 -2.312 7.300
5.435 2.312 0.424
1.450 -1.371 7.050
9.420 1.371 0.174
9.420 -1.371 7.050
1.450 1.371 0.174
6.866 1.750 11.839
4.003 -1.750 4.964
4.003 1.750 11.839
6.866 -1.750 4.964
6.746 4.507 12.934
4.124 -4.507 6.059
4.124 4.507 12.934
6.746 -4.507 6.059
```

## Properties
Formation energy from the elements   -1.07 eV per atom
SG   Cmc2_1
Magnetization   0.0 μB/cell

---

Record 12
Here is a relaxed structure of TlSbO3 from the Materials Project database. Energies are from r²SCAN.

```
TlSbO3
1.0
5.331 0.000 0.000
-2.665 4.617 0.000
0.000 0.000 14.726
Tl Sb O
4 4 12
Cartesian
2.665 1.539 13.683
0.000 3.078 6.320
0.000 3.078 1.043
2.665 1.539 8.406
2.665 1.539 3.682
0.000 0.000 3.682
0.000 3.078 11.045
0.000 0.000 11.045
0.636 1.539 12.152
3.680 0.219 4.789
2.030 3.078 2.574
-0.636 1.539 9.937
4.316 1.320 2.574
1.650 0.219 2.574
1.651 3.297 9.937
-1.651 3.297 12.152
1.015 1.320 4.789
1.015 4.398 12.152
3.301 3.078 4.789
-1.015 4.398 9.937
```

## Properties
Formation energy from the elements   -1.44 eV per atom
SG   P-31c
Magnetization   0.0 μB/cell

---

Record 13
Here is a relaxed structure of Tm3SbO7 from the Materials Project database. Energies are from r²SCAN.

```
Tm3SbO7
1.0
-4.918 3.199 -2.381
0.856 -5.311 -3.340
-4.530 -3.586 4.541
Tm Sb O
6 2 14
Cartesian
-7.907 -1.974 -0.544
-0.674 -3.714 -0.648
-6.018 -0.996 2.144
-2.587 -4.711 -3.312
-4.324 -2.863 -0.628
-2.004 -1.042 -2.822
-6.328 -3.904 -3.450
0.000 0.000 0.000
-6.226 -2.571 0.678
-2.367 -3.127 -1.858
-7.899 -0.105 0.956
-0.694 -5.592 -2.136
-6.368 -2.528 -2.045
-0.233 -1.593 -1.132
-5.930 -2.841 3.375
-4.656 -4.433 -2.558
-4.678 -4.853 0.420
-3.915 -0.845 -1.600
-8.379 -4.091 -0.082
-2.186 -3.167 0.879
-3.940 -1.248 1.416
-2.682 -2.889 -4.572
```

## Properties
Formation energy from the elements   -3.34 eV per atom
SG   C222_1
Magnetization   0.0 μB/cell

---

| no. | calculated volume (Å³ per atom) |
| --- | --- |
| 1 | 12.31 |
| 2 | 14.60 |
| 3 | 20.27 |
| 4 | 13.65 |
| 5 | 19.75 |
| 6 | 12.57 |
| 7 | 12.55 |
| 8 | 15.70 |
| 9 | 22.80 |
| 10 | 17.85 |
| 11 | 20.21 |
| 12 | 18.12 |
| 13 | 12.64 |